Record 1
Material: K2ZnH12S2O14
Method: DFT, PBE
State: optimized geometry

## Properties
The distance to the lowest polymorph of the same formula comes out at 15.94 eV/f.u.

abc: 12.2616 7.9564 9.5738
angles: 67.61 90.00 90.00
Positions (direct):
H (0.7192, 0.0518, 0.1176)
H (0.2192, 0.9482, 0.3824)
H (0.2039, 0.3014, 0.9678)
H (0.2808, 0.9482, 0.8824)
H (0.1380, 0.1384, 0.7559)
H (0.6380, 0.8616, 0.7441)
H (0.4807, 0.5550, 0.6423)
H (0.2961, 0.3014, 0.4678)
H (0.9807, 0.4450, 0.8577)
H (0.5193, 0.4450, 0.3577)
H (0.8620, 0.8616, 0.2441)
H (0.7961, 0.6986, 0.0322)
H (0.3620, 0.1384, 0.2559)
H (0.3962, 0.0348, 0.8567)
H (0.6038, 0.9652, 0.1433)
H (0.5355, 0.6409, 0.3528)
H (0.7039, 0.6986, 0.5322)
H (0.0193, 0.5550, 0.1423)
H (0.4645, 0.3591, 0.6472)
H (0.9645, 0.6409, 0.8528)
H (0.8962, 0.9652, 0.6433)
H (0.1038, 0.0348, 0.3567)
H (0.0355, 0.3591, 0.1472)
H (0.7808, 0.0518, 0.6176)
O (0.5001, 0.7604, 0.4804)
O (0.4999, 0.2396, 0.5196)
O (0.3592, 0.9198, 0.8754)
O (0.6454, 0.0399, 0.5873)
O (0.2540, 0.4030, 0.9528)
O (0.7540, 0.5970, 0.5472)
O (0.8546, 0.0399, 0.0873)
O (0.3546, 0.9601, 0.4127)
O (0.4716, 0.4274, 0.7141)
O (0.5284, 0.5726, 0.2859)
O (0.1454, 0.9601, 0.9127)
O (0.0284, 0.4274, 0.2141)
O (0.0001, 0.2396, 0.0196)
O (0.1408, 0.9198, 0.3754)
O (0.8882, 0.2203, 0.0788)
O (0.7460, 0.5970, 0.0472)
O (0.8592, 0.0802, 0.6246)
O (0.2460, 0.4030, 0.4528)
O (0.3882, 0.7797, 0.4212)
O (0.9999, 0.7604, 0.9804)
O (0.1278, 0.2739, 0.6953)
O (0.9716, 0.5726, 0.7859)
O (0.6278, 0.7261, 0.8047)
O (0.8722, 0.7261, 0.3047)
O (0.6408, 0.0802, 0.1246)
O (0.1118, 0.7797, 0.9212)
O (0.3722, 0.2739, 0.1953)
O (0.6118, 0.2203, 0.5788)
S (0.3796, 0.3234, 0.0123)
S (0.8796, 0.6766, 0.4877)
S (0.6204, 0.6766, 0.9877)
S (0.1204, 0.3234, 0.5123)
K (0.6811, 0.3547, 0.8380)
K (0.1811, 0.6453, 0.6620)
K (0.3189, 0.6453, 0.1620)
K (0.8189, 0.3547, 0.3380)
Zn (0.0000, 0.0000, 0.0000)
Zn (0.5000, 0.0000, 0.5000)

=====

Record 2
Material: Na10Zr4Ta4Si11SO48
Method: DFT, PBE
State: optimized geometry

abc: 18.1684 9.0937 22.7402
angles: 90.00 89.94 119.98
Positions (direct):
O (0.7310, 0.1531, 0.2482)
O (0.6900, 0.4971, 0.3620)
O (0.2296, 0.3017, 0.7485)
O (0.7507, 0.3763, 0.1363)
O (0.0065, 0.1845, 0.9142)
O (0.2536, 0.6336, 0.8591)
O (0.1564, 0.8353, 0.9729)
O (0.0808, 0.9666, 0.9131)
O (0.4260, 0.3490, 0.9219)
O (0.1900, 0.4969, 0.3625)
O (0.0796, 0.4702, 0.9770)
O (0.0955, 0.2013, 0.6970)
O (0.2398, 0.3173, 0.0235)
O (0.9152, 0.0258, 0.0847)
O (0.8218, 0.4922, 0.9194)
O (0.5074, 0.2028, 0.1902)
O (0.8155, 0.1200, 0.1435)
O (0.5817, 0.4876, 0.2522)
O (0.7494, 0.6513, 0.5783)
O (0.9284, 0.3658, 0.6392)
O (0.5812, 0.1954, 0.4159)
O (0.4864, 0.1587, 0.5879)
O (0.7494, 0.8457, 0.0738)
O (0.2633, 0.8254, 0.7512)
O (0.4945, 0.1843, 0.3084)
O (0.9826, 0.1643, 0.5892)
O (0.2514, 0.3754, 0.1370)
O (0.2614, 0.7056, 0.2513)
O (0.7378, 0.3166, 0.0228)
O (0.5105, 0.8310, 0.6931)
O (0.1558, 0.4758, 0.4756)
O (0.2551, 0.3617, 0.4274)
O (0.4854, 0.8068, 0.0850)
O (0.1019, 0.0109, 0.3034)
O (0.8381, 0.5128, 0.2475)
O (0.0820, 0.1937, 0.4152)
O (0.1012, 0.1876, 0.8030)
O (0.4273, 0.4946, 0.4267)
O (0.9060, 0.7973, 0.3098)
O (0.7361, 0.1603, 0.5265)
O (0.0063, 0.8268, 0.4160)
O (0.0963, 0.9887, 0.1967)
O (0.0814, 0.4875, 0.2524)
O (0.3378, 0.5122, 0.2483)
O (0.4062, 0.7979, 0.3101)
O (0.4158, 0.0182, 0.8079)
O (0.9842, 0.8058, 0.0837)
O (0.0744, 0.6399, 0.0735)
O (0.5763, 0.5026, 0.5769)
O (0.6581, 0.4815, 0.4752)
O (0.4146, 0.0226, 0.0854)
O (0.9014, 0.8265, 0.9119)
O (0.5827, 0.9785, 0.9106)
O (0.6788, 0.5066, 0.0734)
O (0.8407, 0.1635, 0.0261)
O (0.3279, 0.5034, 0.9238)
O (0.9024, 0.8160, 0.1915)
O (0.7540, 0.3616, 0.4272)
O (0.6842, 0.8602, 0.5782)
O (0.5744, 0.6395, 0.0738)
O (0.9195, 0.3113, 0.5251)
O (0.9248, 0.4937, 0.4261)
O (0.7586, 0.8229, 0.7565)
O (0.1523, 0.4573, 0.7524)
O (0.8252, 0.1522, 0.4249)
O (0.9151, 0.8044, 0.5863)
O (0.9096, 0.5170, 0.7433)
O (0.7614, 0.6850, 0.9721)
O (0.3516, 0.1717, 0.7483)
O (0.6546, 0.8471, 0.2517)
O (0.8182, 0.5044, 0.6431)
O (0.7516, 0.6395, 0.8555)
O (0.0716, 0.5097, 0.5791)
O (0.4200, 0.5237, 0.0254)
O (0.5927, 0.1727, 0.0843)
O (0.4063, 0.9864, 0.6903)
O (0.0823, 0.6753, 0.7518)
O (0.4021, 0.9749, 0.4149)
O (0.1800, 0.8536, 0.5753)
O (0.9197, 0.5267, 0.0210)
O (0.0644, 0.5054, 0.8633)
O (0.5690, 0.4950, 0.8573)
O (0.7555, 0.8778, 0.3568)
O (0.6553, 0.8368, 0.9733)
O (0.1806, 0.5071, 0.0737)
O (0.4928, 0.8146, 0.8090)
O (0.4173, 0.8174, 0.5900)
O (0.2309, 0.1526, 0.2483)
O (0.7396, 0.3179, 0.7429)
O (0.7616, 0.8375, 0.4749)
O (0.4084, 0.2938, 0.2493)
O (0.4420, 0.3633, 0.6445)
O (0.2491, 0.8471, 0.0752)
O (0.3167, 0.1220, 0.1435)
O (0.3468, 0.5333, 0.5247)
O (0.2499, 0.1255, 0.6396)
O (0.2667, 0.6938, 0.9739)
O (0.0087, 0.8135, 0.6902)
O (0.4175, 0.5226, 0.7488)
O (0.1539, 0.8462, 0.2518)
O (0.2541, 0.1489, 0.9258)
O (0.9940, 0.1838, 0.3083)
O (0.2398, 0.1643, 0.5265)
O (0.9864, 0.7935, 0.8066)
O (0.5968, 0.1725, 0.8083)
O (0.9031, 0.9763, 0.4149)
O (0.4055, 0.8440, 0.9104)
O (0.4200, 0.3100, 0.5281)
O (0.4422, 0.5045, 0.1387)
O (0.9086, 0.2945, 0.2486)
O (0.0072, 0.2015, 0.1903)
O (0.5640, 0.6255, 0.3639)
O (0.1896, 0.8828, 0.8602)
O (0.8434, 0.5225, 0.5271)
O (0.6021, 0.0113, 0.3034)
O (0.5802, 0.4715, 0.9737)
O (0.0940, 0.1735, 0.0847)
O (0.0766, 0.6824, 0.4801)
O (0.5813, 0.6883, 0.4774)
O (0.5945, 0.0242, 0.5913)
O (0.7615, 0.7062, 0.2508)
O (0.5072, 0.8283, 0.4156)
O (0.9388, 0.4997, 0.1352)
O (0.7544, 0.1374, 0.9218)
O (0.5966, 0.9891, 0.1966)
O (0.3192, 0.5058, 0.6400)
O (0.2576, 0.8351, 0.4724)
O (0.5842, 0.6906, 0.7570)
O (0.8957, 0.9681, 0.6928)
O (0.5823, 0.1941, 0.6929)
O (0.8398, 0.1668, 0.7423)
O (0.7509, 0.1411, 0.6401)
O (0.0931, 0.0146, 0.5853)
O (0.3275, 0.1567, 0.4251)
O (0.0643, 0.6241, 0.3654)
O (0.3449, 0.1668, 0.0261)
O (0.2558, 0.8809, 0.3557)
O (0.6507, 0.4760, 0.7557)
O (0.9070, 0.0259, 0.8097)
O (0.4021, 0.8159, 0.1920)
O (0.2523, 0.6557, 0.5753)
O (0.5099, 0.1865, 0.9096)
O (0.6798, 0.8576, 0.8600)
O (0.9251, 0.3535, 0.9244)
Si (0.6877, 0.0435, 0.5845)
Si (0.5219, 0.6669, 0.4197)
Si (0.1897, 0.3352, 0.0806)
Si (0.9812, 0.6252, 0.0786)
Si (0.6877, 0.3350, 0.0807)
Si (0.3133, 0.6655, 0.9154)
Si (0.4816, 0.6260, 0.0811)
Si (0.1692, 0.9636, 0.9174)
Si (0.3288, 0.0422, 0.0830)
Si (0.1690, 0.3741, 0.4197)
Si (0.4997, 0.2972, 0.2499)
Si (0.8282, 0.0402, 0.0834)
Si (0.1888, 0.0429, 0.5831)
Si (0.3344, 0.6246, 0.5836)
Si (0.5222, 0.3773, 0.9156)
Si (0.6432, 0.2867, 0.7499)
Si (0.3511, 0.7026, 0.2505)
Si (0.9997, 0.2968, 0.2498)
Si (0.8079, 0.9576, 0.4170)
Si (0.3080, 0.9613, 0.4159)
Si (0.0007, 0.7008, 0.7486)
Si (0.9783, 0.3372, 0.5836)
Si (0.8287, 0.6159, 0.5840)
Si (0.8070, 0.6556, 0.9146)
Si (0.0222, 0.3770, 0.9181)
Si (0.3555, 0.9958, 0.7497)
Si (0.6649, 0.9550, 0.9161)
Si (0.8512, 0.7031, 0.2500)
Si (0.8517, 0.0007, 0.7502)
Si (0.4824, 0.3351, 0.5846)
Si (0.0209, 0.6649, 0.4206)
Si (0.4989, 0.7135, 0.7514)
Si (0.6682, 0.3760, 0.4199)
Na (0.3335, 0.9709, 0.5874)
Na (0.3322, 0.6964, 0.0861)
Na (0.4983, 0.3652, 0.7492)
Na (0.5128, 0.3314, 0.0852)
Na (0.0166, 0.3352, 0.0853)
Na (0.8340, 0.3472, 0.3287)
Na (0.6601, 0.6529, 0.1713)
Na (0.8516, 0.0327, 0.9166)
Na (0.4835, 0.3041, 0.4134)
Na (0.8194, 0.6393, 0.7489)
Na (0.3499, 0.0344, 0.9147)
Na (0.8484, 0.6667, 0.4146)
Na (0.3215, 0.9998, 0.2496)
Na (0.0163, 0.0169, 0.4990)
Na (0.1688, 0.6656, 0.6730)
Na (0.8214, 0.0003, 0.2503)
Na (0.1610, 0.6544, 0.1704)
Na (0.5154, 0.0026, 0.5018)
Na (0.9840, 0.3054, 0.4126)
Na (0.5130, 0.9964, 0.9989)
Na (0.0178, 0.0172, 0.0001)
Na (0.9854, 0.6611, 0.9125)
Na (0.6583, 0.6675, 0.6640)
Na (0.8293, 0.3199, 0.8298)
Na (0.3343, 0.3465, 0.3294)
Na (0.8316, 0.6960, 0.0871)
Na (0.3306, 0.3499, 0.8328)
Na (0.8335, 0.9631, 0.5827)
Na (0.0166, 0.7017, 0.5840)
Na (0.3491, 0.6670, 0.4146)
S (0.1452, 0.9997, 0.2500)
S (0.1454, 0.2882, 0.7501)
S (0.6455, 0.0001, 0.2500)
Zr (0.4969, 0.9977, 0.3563)
Zr (0.8382, 0.3466, 0.1847)
Zr (0.1652, 0.6530, 0.3153)
Zr (0.4977, 0.0024, 0.1441)
Zr (0.3366, 0.3343, 0.6861)
Zr (0.6651, 0.6531, 0.3151)
Zr (0.9970, 0.9958, 0.8548)
Zr (0.3389, 0.3471, 0.1851)
Zr (0.9969, 0.9968, 0.3559)
Zr (0.9982, 0.9936, 0.6447)
Zr (0.1694, 0.6782, 0.8140)
Zr (0.9985, 0.0024, 0.1437)
Ta (0.8321, 0.3305, 0.6882)
Ta (0.8302, 0.3265, 0.4804)
Ta (0.6654, 0.6684, 0.0187)
Ta (0.6642, 0.6649, 0.5223)
Ta (0.8299, 0.3304, 0.9776)
Ta (0.5012, 0.9985, 0.6455)
Ta (0.1668, 0.6636, 0.5220)
Ta (0.3339, 0.3330, 0.4820)
Ta (0.3350, 0.3408, 0.9778)
Ta (0.5017, 0.0006, 0.8549)
Ta (0.1687, 0.6704, 0.0189)
Ta (0.6647, 0.6694, 0.8115)

=====

Record 3
Material: AlZnCrS4
Method: DFT, PBE
State: optimized geometry

abc: 7.1207 7.1207 7.1207
angles: 120.03 119.99 89.98
Positions (direct):
Al (0.5000, 0.0000, 0.0000)
Al (0.5000, 0.5000, 0.5000)
S (0.2601, 0.2395, 0.4795)
S (0.7399, 0.2194, 0.9795)
S (0.7399, 0.7605, 0.5205)
S (0.2601, 0.7806, 0.0205)
S (0.7405, 0.7602, 0.9803)
S (0.7201, 0.2398, 0.4803)
S (0.2595, 0.2398, 0.0197)
S (0.2799, 0.7602, 0.5197)
Zn (0.1245, 0.3745, 0.7500)
Zn (0.8755, 0.6255, 0.2500)
Cr (0.0000, 0.0000, 0.0000)
Cr (0.5000, 0.0000, 0.5000)

=====

Record 4
Material: La6S4N3Cl
Method: DFT, PBE
State: optimized geometry

abc: 4.1185 11.9153 27.2314
angles: 90.00 90.00 90.00
Positions (direct):
S (0.2500, 0.5446, 0.6361)
S (0.7500, 0.7863, 0.8959)
S (0.2500, 0.1808, 0.3611)
S (0.2500, 0.7137, 0.3959)
S (0.7500, 0.3192, 0.8611)
S (0.7500, 0.8527, 0.5054)
S (0.2500, 0.6808, 0.1389)
S (0.7500, 0.8192, 0.6389)
S (0.7500, 0.4554, 0.3639)
S (0.2500, 0.2137, 0.1041)
S (0.7500, 0.9554, 0.1361)
S (0.2500, 0.1473, 0.4946)
S (0.2500, 0.0446, 0.8639)
S (0.7500, 0.3527, 0.9946)
S (0.7500, 0.2863, 0.6041)
S (0.2500, 0.6473, 0.0054)
N (0.7500, 0.8892, 0.2612)
N (0.7500, 0.9361, 0.3752)
N (0.2500, 0.6108, 0.7612)
N (0.7500, 0.9035, 0.0106)
N (0.7500, 0.4361, 0.1248)
N (0.7500, 0.3892, 0.2388)
N (0.2500, 0.5965, 0.5106)
N (0.2500, 0.0639, 0.6248)
N (0.2500, 0.0965, 0.9894)
N (0.2500, 0.1108, 0.7388)
N (0.7500, 0.4035, 0.4894)
N (0.2500, 0.5639, 0.8752)
Cl (0.7500, 0.8643, 0.7654)
Cl (0.7500, 0.3643, 0.7346)
Cl (0.2500, 0.1357, 0.2346)
Cl (0.2500, 0.6357, 0.2654)
La (0.2500, 0.4453, 0.8102)
La (0.7500, 0.5581, 0.9260)
La (0.2500, 0.9091, 0.9596)
La (0.2500, 0.7379, 0.8300)
La (0.7500, 0.2621, 0.1700)
La (0.2500, 0.4091, 0.5404)
La (0.7500, 0.1154, 0.7942)
La (0.7500, 0.6154, 0.7058)
La (0.7500, 0.0547, 0.3102)
La (0.7500, 0.5909, 0.4596)
La (0.7500, 0.7621, 0.3300)
La (0.7500, 0.0581, 0.5740)
La (0.2500, 0.4419, 0.0740)
La (0.2500, 0.9453, 0.6898)
La (0.2500, 0.2379, 0.6700)
La (0.7500, 0.2672, 0.4350)
La (0.2500, 0.7328, 0.5650)
La (0.7500, 0.0909, 0.0404)
La (0.2500, 0.2328, 0.9350)
La (0.7500, 0.5547, 0.1898)
La (0.2500, 0.8846, 0.2058)
La (0.2500, 0.3846, 0.2942)
La (0.7500, 0.7672, 0.0650)
La (0.2500, 0.9419, 0.4260)

=====

Record 5
Material: Hf6Al2Ni
Method: DFT, PBE
State: optimized geometry

abc: 3.2927 7.8516 7.8516
angles: 120.00 90.00 90.00
Positions (direct):
Al (0.5000, 0.6667, 0.3333)
Al (0.5000, 0.3333, 0.6667)
Hf (0.5000, 0.2565, 0.0000)
Hf (0.0000, 0.0000, 0.6023)
Hf (0.5000, 0.0000, 0.2565)
Hf (0.0000, 0.6023, 0.0000)
Hf (0.5000, 0.7435, 0.7435)
Hf (0.0000, 0.3977, 0.3977)
Ni (0.0000, 0.0000, 0.0000)

=====

Record 6
Material: MnGa2S4
Method: DFT, PBE
State: optimized geometry

abc: 6.4444 12.3977 13.0659
angles: 115.35 99.04 100.83
Positions (direct):
S (0.1751, 0.6743, 0.0819)
S (0.8454, 0.3453, 0.4331)
S (0.3291, 0.8498, 0.9118)
S (0.5035, 0.0248, 0.2638)
S (0.0107, 0.5080, 0.7643)
S (0.6709, 0.1502, 0.0882)
S (0.4039, 0.4090, 0.0818)
S (0.2561, 0.2386, 0.2638)
S (0.5961, 0.5910, 0.9182)
S (0.4266, 0.4140, 0.6032)
S (0.8249, 0.3257, 0.9181)
S (0.6753, 0.1895, 0.6030)
S (0.0796, 0.0600, 0.9105)
S (0.7467, 0.7434, 0.2374)
S (0.9893, 0.4920, 0.2357)
S (0.3247, 0.8105, 0.3970)
S (0.1546, 0.6547, 0.5669)
S (0.7439, 0.7614, 0.7362)
S (0.4965, 0.9752, 0.7362)
S (0.9204, 0.9400, 0.0895)
S (0.5734, 0.5860, 0.3968)
S (0.0829, 0.0883, 0.4309)
S (0.2533, 0.2566, 0.7626)
S (0.9171, 0.9117, 0.5691)
Ga (0.8724, 0.5182, 0.4023)
Ga (0.9659, 0.1127, 0.5975)
Ga (0.2934, 0.6720, 0.9194)
Ga (0.7066, 0.3280, 0.0806)
Ga (0.8706, 0.7539, 0.0815)
Ga (0.4539, 0.8331, 0.2522)
Ga (0.1294, 0.2461, 0.9185)
Ga (0.1276, 0.4818, 0.5977)
Ga (0.0341, 0.8873, 0.4025)
Ga (0.6991, 0.5825, 0.7492)
Ga (0.3009, 0.4175, 0.2508)
Ga (0.5461, 0.1669, 0.7478)
Mn (0.4636, 0.2164, 0.4340)
Mn (0.7053, 0.9569, 0.9124)
Mn (0.5364, 0.7836, 0.5660)
Mn (0.2947, 0.0431, 0.0876)
Mn (0.8802, 0.1306, 0.2600)
Mn (0.1198, 0.8694, 0.7400)

=====

Asked for formation enthalpy at 0 K across the records above, the calculation gives -1.1169; -3.1027; -1.1785; -2.1146; -0.3389; -0.9200 eV/atom in order.
Asked for uncorrected energy across the records above, the calculation gives -293.49; -1815.60; -74.88; -400.00; -76.06; -217.15 eV/cell in order.